Record 1
Computed, not measured: BaYCo2O5 after structural relaxation at the PBE with a Hubbard U level of DFT.

total energy: -6.88 eV per atom
formation energy from the elements: -2366 meV per atom
offset from the most stable computed form: 0.006 eV/atom

Cell: 3.908 3.908 7.692 Å, 90.00 90.00 90.00°
Space group P4/mmm (No. 123)
Inequivalent atoms, fractional coordinates:
Ba  0.000  0.000  0.000 (multiplicity 1)
Y  0.000  0.000  0.500 (multiplicity 1)
Co  0.500  0.500  0.261 (multiplicity 2)
O  0.000  0.500  0.316 (multiplicity 4)
O  0.500  0.500  0.000 (multiplicity 1)

Record 2
Computed, not measured: Li2CoSnP2O8 after structural relaxation at the PBE with a Hubbard U level of DFT.

total energy: -6.52 eV per atom
formation energy from the elements: -2365 meV per atom
offset from the most stable computed form: 0.000 eV/atom

Cell: 5.898 9.924 12.111 Å, 100.90 90.00 90.01°
Space group P1 (No. 1)
Inequivalent atoms, fractional coordinates:
Li  0.000  0.000  0.000 (multiplicity 1)
Li  0.000  0.246  0.502 (multiplicity 1)
Li  0.003  0.501  0.000 (multiplicity 1)
Li  0.008  0.738  0.508 (multiplicity 1)
Li  0.494  0.738  0.508 (multiplicity 1)
Li  0.497  0.501  0.001 (multiplicity 1)
Li  0.499  0.001  0.001 (multiplicity 1)
Li  0.501  0.245  0.502 (multiplicity 1)
Co  0.251  0.473  0.321 (multiplicity 1)
Co  0.251  0.974  0.320 (multiplicity 1)
Co  0.751  0.016  0.683 (multiplicity 1)
Co  0.751  0.517  0.688 (multiplicity 1)
Sn  0.251  0.267  0.784 (multiplicity 1)
Sn  0.251  0.772  0.787 (multiplicity 1)
Sn  0.751  0.224  0.219 (multiplicity 1)
Sn  0.751  0.725  0.223 (multiplicity 1)
P  0.251  0.296  0.107 (multiplicity 1)
P  0.251  0.461  0.585 (multiplicity 1)
P  0.251  0.796  0.106 (multiplicity 1)
P  0.251  0.960  0.582 (multiplicity 1)
P  0.751  0.031  0.419 (multiplicity 1)
P  0.751  0.199  0.894 (multiplicity 1)
P  0.751  0.528  0.422 (multiplicity 1)
P  0.751  0.701  0.898 (multiplicity 1)
O  0.035  0.407  0.639 (multiplicity 1)
O  0.035  0.905  0.636 (multiplicity 1)
O  0.044  0.860  0.184 (multiplicity 1)
O  0.045  0.360  0.185 (multiplicity 1)
O  0.250  0.640  0.082 (multiplicity 1)
O  0.250  0.859  0.999 (multiplicity 1)
O  0.251  0.118  0.597 (multiplicity 1)
O  0.251  0.140  0.083 (multiplicity 1)
O  0.251  0.359  0.999 (multiplicity 1)
O  0.251  0.380  0.460 (multiplicity 1)
O  0.251  0.619  0.597 (multiplicity 1)
O  0.251  0.880  0.458 (multiplicity 1)
O  0.457  0.361  0.184 (multiplicity 1)
O  0.457  0.860  0.184 (multiplicity 1)
O  0.466  0.905  0.636 (multiplicity 1)
O  0.467  0.407  0.639 (multiplicity 1)
O  0.535  0.086  0.366 (multiplicity 1)
O  0.535  0.583  0.369 (multiplicity 1)
O  0.544  0.636  0.821 (multiplicity 1)
O  0.545  0.131  0.819 (multiplicity 1)
O  0.750  0.639  0.006 (multiplicity 1)
O  0.751  0.109  0.544 (multiplicity 1)
O  0.751  0.142  0.005 (multiplicity 1)
O  0.751  0.355  0.912 (multiplicity 1)
O  0.751  0.370  0.408 (multiplicity 1)
O  0.751  0.608  0.547 (multiplicity 1)
O  0.751  0.857  0.920 (multiplicity 1)
O  0.751  0.873  0.403 (multiplicity 1)
O  0.957  0.131  0.819 (multiplicity 1)
O  0.957  0.635  0.821 (multiplicity 1)
O  0.967  0.086  0.366 (multiplicity 1)
O  0.967  0.583  0.369 (multiplicity 1)

Record 3
Computed, not measured: CuMoO4 after structural relaxation at the PBE with a Hubbard U level of DFT.

total energy: -6.26 eV per atom
formation energy from the elements: -1460 meV per atom
offset from the most stable computed form: 0.117 eV/atom

Cell: 3.833 3.833 10.242 Å, 90.00 90.00 90.00°
Space group I-4m2 (No. 119)
Inequivalent atoms, fractional coordinates:
Cu  0.000  0.000  0.000 (multiplicity 2)
Mo  0.000  0.500  0.250 (multiplicity 2)
O  0.000  0.000  0.238 (multiplicity 4)
O  0.000  0.500  0.060 (multiplicity 4)

Record 4
Computed, not measured: LiVPO5 after structural relaxation at the PBE with a Hubbard U level of DFT.

total energy: -7.13 eV per atom
formation energy from the elements: -2629 meV per atom
offset from the most stable computed form: 0.038 eV/atom

Cell: 4.590 8.828 9.067 Å, 90.00 90.00 90.00°
Space group Aem2 (No. 39)
Inequivalent atoms, fractional coordinates:
Li  0.019  0.250  0.000 (multiplicity 4)
V  0.421  0.250  0.264 (multiplicity 4)
P  0.500  0.000  0.013 (multiplicity 4)
O  0.226  0.250  0.773 (multiplicity 4)
O  0.297  0.100  0.417 (multiplicity 8)
O  0.301  0.102  0.110 (multiplicity 8)

Record 5
Computed, not measured: VCo2P2H3NO9 after structural relaxation at the PBE with a Hubbard U level of DFT.

total energy: -6.12 eV per atom
formation energy from the elements: -1341 meV per atom

Cell: 6.238 7.736 9.850 Å, 90.00 90.00 90.00°
Space group Pmc2_1 (No. 26)
Inequivalent atoms, fractional coordinates:
V  0.000  0.205  0.000 (multiplicity 2)
Co  0.244  0.499  0.234 (multiplicity 4)
P  0.000  0.170  0.680 (multiplicity 2)
P  0.500  0.330  0.989 (multiplicity 2)
H  0.000  0.390  0.887 (multiplicity 2)
H  0.060  0.294  0.400 (multiplicity 4)
N  0.500  0.010  0.231 (multiplicity 2)
O  0.000  0.014  0.580 (multiplicity 2)
O  0.000  0.090  0.825 (multiplicity 2)
O  0.000  0.353  0.141 (multiplicity 2)
O  0.204  0.278  0.655 (multiplicity 4)
O  0.301  0.215  0.977 (multiplicity 4)
O  0.500  0.410  0.133 (multiplicity 2)
O  0.500  0.469  0.875 (multiplicity 2)

Record 6
Computed, not measured: Li5V2Fe5O12 after structural relaxation at the PBE with a Hubbard U level of DFT.

total energy: -6.47 eV per atom
formation energy from the elements: -2030 meV per atom

Cell: 5.159 9.054 10.007 Å, 90.00 100.39 90.00°
Space group C2 (No. 5)
Inequivalent atoms, fractional coordinates:
Li  0.000  0.000  0.000 (multiplicity 2)
Li  0.242  0.844  0.246 (multiplicity 4)
Li  0.248  0.007  0.753 (multiplicity 4)
V  0.000  0.172  0.500 (multiplicity 2)
V  0.000  0.674  0.000 (multiplicity 2)
Fe  0.000  0.346  0.000 (multiplicity 2)
Fe  0.000  0.506  0.500 (multiplicity 2)
Fe  0.000  0.845  0.500 (multiplicity 2)
Fe  0.242  0.170  0.246 (multiplicity 4)
O  0.108  0.007  0.379 (multiplicity 4)
O  0.110  0.514  0.882 (multiplicity 4)
O  0.130  0.332  0.379 (multiplicity 4)
O  0.132  0.682  0.385 (multiplicity 4)
O  0.134  0.831  0.886 (multiplicity 4)
O  0.154  0.183  0.889 (multiplicity 4)